Record 1
An optimized crystal structure of MgSc3, computed with PBE.

Lattice parameters (Å, degrees): 3.2616 3.2616 10.6232 90.00 90.00 120.00
Closest atoms and distances in Å follow each position.
Space group P-6m2 (No. 187)
Asymmetric unit:
Mg 0.0000 0.0000 0.0000  6 Mg 3.26, 6 Sc 3.32
Sc 0.0000 0.0000 0.5000  12 Sc 3.19-3.26
Sc 0.3333 0.6667 0.2574  9 Sc 3.19-3.26, 3 Mg 3.32

Its formation enthalpy at 0 K is 2.4 kJ/mol of atoms. The value obtained for the raw total energy is -5.125 eV per atom. The value obtained for the mass density is 2.7 g/cm³. The excess energy over the best structure of this formula in the dataset is 4.0 meV/atom.

---

Record 2
An optimized crystal structure of Mg2Sc, computed with PBE.

Lattice parameters (Å, degrees): 12.0756 3.2070 7.4976 90.00 104.94 90.00
Closest atoms and distances in Å follow each position.
Space group C2/m (No. 12)
Asymmetric unit:
Mg 0.1413 0.0000 0.0303  8 Mg 3.14-3.32, 4 Sc 3.20-3.21
Mg 0.1962 0.0000 0.6425  7 Mg 3.14-3.21, 5 Sc 3.22-3.29
Sc 0.0243 0.5000 0.3041  3 Sc 3.14-3.21, 9 Mg 3.20-3.29

Its formation enthalpy at 0 K is -0.9 kJ/mol of atoms. The value obtained for the raw total energy is -3.187 eV per atom. The value obtained for the mass density is 2.2 g/cm³.

---

Record 3
An optimized crystal structure of Mg5Sc, computed with PBE.

Lattice parameters (Å, degrees): 5.5021 5.5021 15.9731 90.00 90.00 120.00
Closest atoms and distances in Å follow each position.
Space group R32 (No. 155, hexagonal axes)
Asymmetric unit:
Mg 0.0000 0.0000 0.1648  3 Sc 3.18, 9 Mg 3.18-3.25
Mg 0.0000 0.6621 0.0000  10 Mg 3.15-3.25, 2 Sc 3.23
Sc 0.0000 0.0000 0.5000  12 Mg 3.18-3.23

Its formation enthalpy at 0 K is 2.3 kJ/mol of atoms. The value obtained for the raw total energy is -2.365 eV per atom. The value obtained for the mass density is 2.0 g/cm³.

---

Record 4
An optimized crystal structure of MgSc2, computed with PBE.

Lattice parameters (Å, degrees): 3.3294 16.6712 5.1515 90.00 90.00 90.00
Closest atoms and distances in Å follow each position.
Space group Cmcm (No. 63)
Asymmetric unit:
Mg 0.0000 0.0592 0.2500  8 Sc 3.16-3.22, 4 Mg 3.24-3.33
Sc 0.0000 0.2755 0.7500  10 Sc 3.18-3.33, 2 Mg 3.22
Sc 0.0000 0.3946 0.2500  6 Mg 3.16-3.21, 6 Sc 3.25-3.33

Its formation enthalpy at 0 K is -3.7 kJ/mol of atoms. The value obtained for the raw total energy is -4.794 eV per atom. The value obtained for the mass density is 2.7 g/cm³.

---

Record 5
An optimized crystal structure of MgSc, computed with PBE.

Lattice parameters (Å, degrees): 3.5967 3.5967 3.5967 90.00 90.00 90.00
Closest atoms and distances in Å follow each position.
Space group Pm-3m (No. 221)
Asymmetric unit:
Mg 0.0000 0.0000 0.0000  8 Sc 3.11
Sc 0.5000 0.5000 0.5000  8 Mg 3.11

Its formation enthalpy at 0 K is -3.9 kJ/mol of atoms. The value obtained for the raw total energy is -4.006 eV per atom. The value obtained for the mass density is 2.5 g/cm³.

---

Record 6
An optimized crystal structure of Mg5Sc, computed with PBE.

Lattice parameters (Å, degrees): 5.1907 3.2364 16.5837 90.00 90.00 90.00
Closest atoms and distances in Å follow each position.
Space group Amm2 (No. 38)
Asymmetric unit:
Mg 0.0000 0.0000 0.0000  12 Mg 3.19-3.25
Mg 0.0000 0.0000 0.3300  10 Mg 3.17-3.25, 2 Sc 3.19
Mg 0.0000 0.0000 0.6658  8 Mg 3.17-3.24, 4 Sc 3.18
Mg 0.5000 0.0000 0.5537  2 Sc 3.16, 10 Mg 3.19-3.24
Mg 0.5000 0.0000 0.8866  10 Mg 3.20-3.24, 2 Sc 3.24
Sc 0.5000 0.0000 0.2177  10 Mg 3.16-3.24, 2 Sc 3.24

Its formation enthalpy at 0 K is -1.1 kJ/mol of atoms. The value obtained for the raw total energy is -2.400 eV per atom. The value obtained for the mass density is 2.0 g/cm³.

---

Record 7
An optimized crystal structure of MgSc5, computed with PBE.

Lattice parameters (Å, degrees): 5.2329 3.3032 17.1070 90.00 90.00 90.00
Closest atoms and distances in Å follow each position.
Space group Amm2 (No. 38)
Asymmetric unit:
Mg 0.0000 0.0000 0.0000  10 Sc 3.22-3.34, 2 Mg 3.30
Sc 0.0000 0.0000 0.3346  10 Sc 3.23-3.30, 2 Mg 3.28
Sc 0.0000 0.0000 0.6699  10 Sc 3.23-3.30, 2 Mg 3.34
Sc 0.5000 0.0000 0.2243  12 Sc 3.23-3.33
Sc 0.5000 0.0000 0.5550  4 Mg 3.23, 8 Sc 3.27-3.33
Sc 0.5000 0.0000 0.8902  2 Mg 3.22, 10 Sc 3.24-3.30

Its formation enthalpy at 0 K is 1.3 kJ/mol of atoms. The value obtained for the raw total energy is -5.530 eV per atom. The value obtained for the mass density is 2.8 g/cm³.

---

Record 8
An optimized crystal structure of MgSc2Se4, computed with PBE.

Lattice parameters (Å, degrees): 12.7378 7.5687 13.0825 90.00 90.00 90.00
Closest atoms and distances in Å follow each position.
Space group Pca2_1 (No. 29)
Asymmetric unit:
Mg 0.1093 0.1202 0.0000  6 Se 2.66-2.80
Mg 0.1257 0.6217 0.3640  6 Se 2.68-2.75
Sc 0.1071 0.6191 0.0000  6 Se 2.69-2.75
Sc 0.1285 0.1200 0.3604  6 Se 2.68-2.79
Sc 0.1319 0.3708 0.6973  7 Se 2.72-3.00
Sc 0.1329 0.8716 0.6996  7 Se 2.71-2.99
Se 0.0164 0.6286 0.8118  1 Mg 2.71, 4 Sc 2.72-2.87
Se 0.0183 0.1208 0.8139  3 Sc 2.68-2.83, 2 Mg 2.70-2.75
Se 0.0382 0.6227 0.5549  3 Sc 2.70-2.93, 2 Mg 2.73-2.80
Se 0.0391 0.1305 0.5550  4 Sc 2.75-2.97, 1 Mg 2.77
Se 0.2164 0.1212 0.1743  1 Mg 2.66, 3 Sc 2.68-2.72
Se 0.2158 0.6203 0.1759  3 Sc 2.69-2.73, 1 Mg 2.71
Se 0.2291 0.3717 0.9058  3 Sc 2.70-3.00, 2 Mg 2.70-2.73
Se 0.2310 0.8695 0.9075  2 Mg 2.68-2.73, 3 Sc 2.68-2.99

Its formation enthalpy at 0 K is -171.3 kJ/mol of atoms. The value obtained for the raw total energy is -5.541 eV per atom. The value obtained for the mass density is 4.5 g/cm³. The excess energy over the best structure of this formula in the dataset is 67.9 meV/atom.

---

Record 9
An optimized crystal structure of MgSc2Se4, computed with PBE.

Lattice parameters (Å, degrees): 8.3966 8.3966 8.5865 90.00 90.00 90.00
Closest atoms and distances in Å follow each position.
Space group I-42d (No. 122)
Asymmetric unit:
Mg 0.0000 0.0000 0.0000  4 Se 2.67
Sc 0.1326 0.2500 0.6250  4 Se 2.70
Se 0.0604 0.1968 0.3232  1 Mg 2.67, 2 Sc 2.70

Its formation enthalpy at 0 K is -162.5 kJ/mol of atoms. The value obtained for the raw total energy is -5.450 eV per atom. The value obtained for the mass density is 4.7 g/cm³. The excess energy over the best structure of this formula in the dataset is 159.1 meV/atom.

---

Record 10
An optimized crystal structure of MgSc2Se4, computed with PBE.

Lattice parameters (Å, degrees): 12.6614 3.8080 13.2926 90.00 90.00 90.00
Closest atoms and distances in Å follow each position.
Space group Pnma (No. 62)
Asymmetric unit:
Mg 0.1266 0.2500 0.0767  5 Se 2.76-2.81
Sc 0.1090 0.7500 0.4197  6 Se 2.68-2.82
Sc 0.1470 0.7500 0.7971  6 Se 2.69-2.75
Se 0.0265 0.2500 0.8881  2 Sc 2.72, 3 Mg 2.76-2.81
Se 0.0346 0.7500 0.6198  4 Sc 2.68-2.82
Se 0.2151 0.7500 0.2397  3 Sc 2.69-2.74
Se 0.2477 0.2500 0.4769  3 Sc 2.70-2.74, 2 Mg 2.81

Its formation enthalpy at 0 K is -170.7 kJ/mol of atoms. The value obtained for the raw total energy is -5.535 eV per atom. The value obtained for the mass density is 4.5 g/cm³. The excess energy over the best structure of this formula in the dataset is 73.7 meV/atom.

---

Record 11
An optimized crystal structure of MgSc2Se4, computed with PBE.

Lattice parameters (Å, degrees): 11.2253 11.2253 11.2253 90.00 90.00 90.00
Closest atoms and distances in Å follow each position.
Space group Fd-3m (No. 227, origin choice 2)
Asymmetric unit:
Mg 0.1250 0.1250 0.1250  4 Se 2.58
Sc 0.0000 0.0000 0.5000  6 Se 2.72
Se 0.0079 0.0079 0.7421  1 Mg 2.58, 3 Sc 2.72

Its formation enthalpy at 0 K is -177.9 kJ/mol of atoms. The value obtained for the raw total energy is -5.609 eV per atom. The value obtained for the mass density is 4.0 g/cm³. The excess energy over the best structure of this formula in the dataset is 0.0 meV/atom.

---

Record 12
An optimized crystal structure of MgSc2Se4, computed with PBE.

Lattice parameters (Å, degrees): 13.4804 7.8333 6.6195 90.00 90.00 90.00
Closest atoms and distances in Å follow each position.
Space group Pnma (No. 62)
Asymmetric unit:
Mg 0.0929 0.2500 0.0842  4 Se 2.52-2.59
Sc 0.0000 0.0000 0.5000  6 Se 2.67-2.76
Sc 0.2388 0.7500 0.9912  6 Se 2.71-2.81
Se 0.0792 0.7500 0.7429  1 Mg 2.59, 3 Sc 2.71-2.75
Se 0.0897 0.2500 0.7031  1 Mg 2.52, 3 Sc 2.67-2.71
Se 0.1709 0.5052 0.2700  1 Mg 2.57, 3 Sc 2.76-2.81

Its formation enthalpy at 0 K is -173.0 kJ/mol of atoms. The value obtained for the raw total energy is -5.559 eV per atom. The value obtained for the mass density is 4.1 g/cm³. The excess energy over the best structure of this formula in the dataset is 50.5 meV/atom.

---

Record 13
An optimized crystal structure of MgSc2Se4, computed with PBE.

Lattice parameters (Å, degrees): 7.1349 8.2730 13.5236 98.75 95.11 90.06
Closest atoms and distances in Å follow each position.
Space group P-1 (No. 2)
Asymmetric unit:
Mg 0.1326 0.1991 0.2978  4 Se 2.57-2.60
Mg 0.2493 0.3752 0.0015  6 Se 2.76-2.83
Sc 0.1372 0.7002 0.2991  4 Se 2.54-2.61
Sc 0.2416 0.8764 0.9998  6 Se 2.71-2.81
Sc 0.3682 0.5537 0.7019  4 Se 2.55-2.61
Sc 0.3688 0.0474 0.7002  4 Se 2.56-2.60
Se 0.1011 0.1496 0.1051  2 Mg 2.57-2.76, 2 Sc 2.71-2.72
Se 0.1031 0.6543 0.1082  2 Sc 2.54-2.75, 2 Mg 2.79
Se 0.1880 0.2818 0.6267  3 Sc 2.60-2.61
Se 0.1894 0.7813 0.6250  2 Sc 2.57, 1 Mg 2.60
Se 0.3128 0.4686 0.3736  2 Sc 2.57, 1 Mg 2.60
Se 0.3126 0.9683 0.3750  2 Sc 2.57, 1 Mg 2.60
Se 0.3958 0.6006 0.8931  2 Sc 2.55-2.79, 2 Mg 2.78-2.80
Se 0.4017 0.0946 0.8924  3 Sc 2.56-2.81, 1 Mg 2.83

Its formation enthalpy at 0 K is -162.4 kJ/mol of atoms. The value obtained for the raw total energy is -5.449 eV per atom. The value obtained for the mass density is 3.6 g/cm³. The excess energy over the best structure of this formula in the dataset is 159.7 meV/atom.

---

Record 14
An optimized crystal structure of MgSc2Se4, computed with PBE.

Lattice parameters (Å, degrees): 8.1695 7.7183 11.3196 90.00 90.00 90.00
Closest atoms and distances in Å follow each position.
Space group Pnma (No. 62)
Asymmetric unit:
Mg 0.1713 0.2500 0.1026  4 Se 2.56-2.66
Sc 0.0007 0.7500 0.2064  5 Se 2.55-2.73
Sc 0.0625 0.2500 0.4898  6 Se 2.64-2.86
Se 0.0981 0.5237 0.6585  1 Mg 2.65, 3 Sc 2.73-2.86
Se 0.1149 0.7500 0.9891  1 Mg 2.56, 2 Sc 2.63-2.64
Se 0.2143 0.7500 0.3823  3 Sc 2.55-2.69, 1 Mg 2.66

Its formation enthalpy at 0 K is -150.4 kJ/mol of atoms. The value obtained for the raw total energy is -5.324 eV per atom. The value obtained for the mass density is 4.0 g/cm³. The excess energy over the best structure of this formula in the dataset is 284.8 meV/atom.

---

Record 15
An optimized crystal structure of TmMg2Sc, computed with PBE.

Lattice parameters (Å, degrees): 7.3480 7.3480 7.3480 90.00 90.00 90.00
Closest atoms and distances in Å follow each position.
Space group Fm-3m (No. 225)
Asymmetric unit:
Tm 0.0000 0.0000 0.0000  8 Mg 3.18
Mg 0.2500 0.2500 0.2500  4 Tm 3.18, 4 Sc 3.18
Sc 0.0000 0.0000 0.5000  8 Mg 3.18

Its formation enthalpy at 0 K is -3.8 kJ/mol of atoms. The value obtained for the raw total energy is -3.542 eV per atom. The value obtained for the mass density is 4.4 g/cm³.

---

Record 16
An optimized crystal structure of Mg3ScZn8, computed with PBE.

Lattice parameters (Å, degrees): 8.9726 5.1946 8.6689 90.00 90.06 90.00
Closest atoms and distances in Å follow each position.
Space group Cm (No. 8)
Asymmetric unit:
Mg 0.0000 0.0000 0.0000  12 Zn 3.03-3.08, 4 Mg 3.19-3.28
Mg 0.9999 0.0000 0.3784  12 Zn 3.04-3.07, 3 Sc 3.17-3.18, 1 Mg 3.28
Mg 0.3334 0.0000 0.8739  12 Zn 3.05-3.11, 3 Mg 3.19, 1 Sc 3.24
Sc 0.3333 0.0000 0.5002  12 Zn 3.04-3.07, 4 Mg 3.17-3.24
Zn 0.0820 0.2459 0.6891  6 Zn 2.55-2.69
Zn 0.1668 0.5000 0.4411  6 Zn 2.63-2.66
Zn 0.1666 0.5000 0.9443  6 Zn 2.62-2.69
Zn 0.2518 0.2445 0.1899  6 Zn 2.53-2.66
Zn 0.3362 0.5000 0.6890  6 Zn 2.55-2.69
Zn 0.4963 0.0000 0.1899  6 Zn 2.53-2.66

Its formation enthalpy at 0 K is -18.9 kJ/mol of atoms. The value obtained for the raw total energy is -1.963 eV per atom. The value obtained for the mass density is 5.3 g/cm³.

---

Record 17
An optimized crystal structure of MgSe, computed with PBE.

Lattice parameters (Å, degrees): 4.2538 4.2538 6.8853 90.00 90.00 120.00
Closest atoms and distances in Å follow each position.
Space group P6_3mc (No. 186)
Asymmetric unit:
Mg 0.3333 0.6667 0.0000  4 Se 2.60
Se 0.3333 0.6667 0.3775  4 Mg 2.60

Its formation enthalpy at 0 K is -143.7 kJ/mol of atoms. Its piezoelectric modulus e_max is 0.46 C/m². The value obtained for the raw total energy is -3.801 eV per atom. The value obtained for the mass density is 3.2 g/cm³.

---

Record 18
An optimized crystal structure of MgSe, computed with PBE.

Lattice parameters (Å, degrees): 6.0005 6.0005 6.0005 90.00 90.00 90.00
Closest atoms and distances in Å follow each position.
Space group F-43m (No. 216)
Asymmetric unit:
Mg 0.0000 0.0000 0.0000  4 Se 2.60
Se 0.2500 0.2500 0.7500  4 Mg 2.60

Its formation enthalpy at 0 K is -143.2 kJ/mol of atoms. Its piezoelectric modulus e_max is 0.23 C/m². The value obtained for the raw total energy is -3.796 eV per atom. The value obtained for the mass density is 3.2 g/cm³.

---

Record 19
An optimized crystal structure of MgSe, computed with PBE.

Lattice parameters (Å, degrees): 5.5109 5.5109 5.5109 90.00 90.00 90.00
Closest atoms and distances in Å follow each position.
Space group Fm-3m (No. 225)
Asymmetric unit:
Mg 0.0000 0.0000 0.0000  6 Se 2.76
Se 0.0000 0.0000 0.5000  6 Mg 2.76

Its formation enthalpy at 0 K is -141.9 kJ/mol of atoms. The value obtained for the raw total energy is -3.782 eV per atom. The value obtained for the mass density is 4.1 g/cm³.